# 1
DFT (PBE) results for a relaxed structure of Rb2LiNb2Te2O12.

Lattice parameters (Å, degrees): 7.405 7.405 7.552 119.53 119.53 60.12
Sites, in units of the cell vectors:
1 Rb 0.168 0.168 0.002
2 Rb 0.832 0.832 0.998
3 Li 0.000 0.000 0.500
4 Nb 0.500 0.500 0.000
5 Nb 0.500 0.500 0.500
6 Te 0.000 0.500 0.500
7 Te 0.500 0.000 0.500
8 O 0.174 0.579 0.433
9 O 0.176 0.176 0.425
10 O 0.180 0.568 0.810
11 O 0.421 0.826 0.567
12 O 0.432 0.820 0.190
13 O 0.439 0.439 0.192
14 O 0.561 0.561 0.808
15 O 0.568 0.180 0.810
16 O 0.579 0.174 0.433
17 O 0.820 0.432 0.190
18 O 0.824 0.824 0.575
19 O 0.826 0.421 0.567

Summary:
For the magnetic moment, the calculation gives 0.00 μB/f.u. The value obtained for the formation energy is -2.20 eV per atom. The energy above the most stable polymorph in this dataset is 25 meV per atom.

# 2
DFT (PBE) results for a relaxed structure of CaTa2Ga2Cu3O12.

Lattice parameters (Å, degrees): 7.542 7.555 15.088 89.85 89.92 89.84
Sites, in units of the cell vectors:
1 Ca 0.247 0.268 0.124
2 Ca 0.251 0.252 0.625
3 Ca 0.749 0.748 0.375
4 Ca 0.753 0.732 0.876
5 Ta 0.000 0.000 0.000
6 Ta 0.000 0.500 0.500
7 Ta 0.004 0.999 0.254
8 Ta 0.499 0.500 0.750
9 Ta 0.500 0.000 0.000
10 Ta 0.500 0.000 0.500
11 Ta 0.501 0.500 0.250
12 Ta 0.996 0.001 0.746
13 Ga 0.000 0.000 0.500
14 Ga 0.000 0.500 0.000
15 Ga 0.002 0.500 0.753
16 Ga 0.500 0.001 0.249
17 Ga 0.500 0.500 0.000
18 Ga 0.500 0.500 0.500
19 Ga 0.500 0.999 0.751
20 Ga 0.998 0.500 0.247
21 Cu 0.249 0.743 0.875
22 Cu 0.250 0.250 0.375
23 Cu 0.250 0.255 0.875
24 Cu 0.250 0.742 0.125
25 Cu 0.250 0.750 0.625
26 Cu 0.251 0.748 0.375
27 Cu 0.749 0.252 0.625
28 Cu 0.750 0.250 0.375
29 Cu 0.750 0.258 0.875
30 Cu 0.750 0.745 0.125
31 Cu 0.750 0.750 0.625
32 Cu 0.751 0.257 0.125
33 O 0.053 0.573 0.375
34 O 0.053 0.575 0.875
35 O 0.053 0.926 0.875
36 O 0.054 0.925 0.376
37 O 0.073 0.248 0.277
38 O 0.074 0.245 0.973
39 O 0.074 0.246 0.777
40 O 0.074 0.250 0.473
41 O 0.249 0.553 0.537
42 O 0.249 0.946 0.037
43 O 0.249 0.946 0.212
44 O 0.249 0.946 0.714
45 O 0.250 0.553 0.712
46 O 0.250 0.947 0.537
47 O 0.251 0.552 0.215
48 O 0.252 0.554 0.037
49 O 0.426 0.247 0.973
50 O 0.426 0.250 0.277
51 O 0.426 0.250 0.776
52 O 0.427 0.250 0.473
53 O 0.445 0.925 0.876
54 O 0.446 0.926 0.375
55 O 0.447 0.574 0.375
56 O 0.448 0.572 0.874
57 O 0.552 0.428 0.126
58 O 0.553 0.426 0.625
59 O 0.554 0.074 0.625
60 O 0.555 0.075 0.124
61 O 0.573 0.750 0.527
62 O 0.574 0.750 0.224
63 O 0.574 0.750 0.723
64 O 0.574 0.753 0.027
65 O 0.748 0.446 0.963
66 O 0.749 0.448 0.785
67 O 0.750 0.053 0.463
68 O 0.750 0.447 0.288
69 O 0.751 0.054 0.286
70 O 0.751 0.054 0.788
71 O 0.751 0.054 0.963
72 O 0.751 0.447 0.463
73 O 0.926 0.750 0.527
74 O 0.926 0.754 0.223
75 O 0.926 0.755 0.027
76 O 0.927 0.752 0.723
77 O 0.946 0.075 0.624
78 O 0.947 0.074 0.125
79 O 0.947 0.425 0.125
80 O 0.947 0.427 0.625

Summary:
For the magnetic moment, the calculation gives 0.02 μB/f.u. The value obtained for the formation energy is -2.46 eV per atom.

# 3
DFT (PBE) results for a relaxed structure of Na2CuAuCl6.

Lattice parameters (Å, degrees): 6.994 6.994 6.994 60.00 60.00 60.00
Sites, in units of the cell vectors:
1 Na 0.250 0.250 0.250
2 Na 0.750 0.750 0.750
3 Cu 0.000 0.000 0.000
4 Au 0.500 0.500 0.500
5 Cl 0.243 0.243 0.757
6 Cl 0.243 0.757 0.243
7 Cl 0.243 0.757 0.757
8 Cl 0.757 0.243 0.243
9 Cl 0.757 0.243 0.757
10 Cl 0.757 0.757 0.243

Summary:
For the magnetic moment, the calculation gives 0.00 μB/f.u. The value obtained for the formation energy is -1.20 eV per atom.

# 4
DFT (PBE) results for a relaxed structure of Na7MnN4.

Lattice parameters (Å, degrees): 11.842 11.842 11.842 90.00 90.00 90.00
Sites, in units of the cell vectors:
1 Na 0.000 0.000 0.246
2 Na 0.000 0.000 0.500
3 Na 0.000 0.000 0.754
4 Na 0.000 0.246 0.000
5 Na 0.000 0.250 0.500
6 Na 0.000 0.500 0.000
7 Na 0.000 0.500 0.500
8 Na 0.000 0.750 0.500
9 Na 0.000 0.754 0.000
10 Na 0.058 0.263 0.745
11 Na 0.058 0.737 0.255
12 Na 0.196 0.196 0.196
13 Na 0.196 0.804 0.804
14 Na 0.237 0.442 0.245
15 Na 0.237 0.558 0.755
16 Na 0.245 0.237 0.442
17 Na 0.245 0.763 0.558
18 Na 0.246 0.000 0.000
19 Na 0.250 0.500 0.000
20 Na 0.254 0.500 0.500
21 Na 0.255 0.058 0.737
22 Na 0.255 0.942 0.263
23 Na 0.263 0.255 0.942
24 Na 0.263 0.745 0.058
25 Na 0.304 0.304 0.696
26 Na 0.304 0.696 0.304
27 Na 0.442 0.245 0.237
28 Na 0.442 0.755 0.763
29 Na 0.500 0.000 0.000
30 Na 0.500 0.000 0.250
31 Na 0.500 0.000 0.500
32 Na 0.500 0.000 0.750
33 Na 0.500 0.254 0.500
34 Na 0.500 0.500 0.000
35 Na 0.500 0.500 0.254
36 Na 0.500 0.500 0.746
37 Na 0.500 0.746 0.500
38 Na 0.558 0.245 0.763
39 Na 0.558 0.755 0.237
40 Na 0.696 0.304 0.304
41 Na 0.696 0.696 0.696
42 Na 0.737 0.255 0.058
43 Na 0.737 0.745 0.942
44 Na 0.745 0.058 0.263
45 Na 0.745 0.942 0.737
46 Na 0.746 0.500 0.500
47 Na 0.750 0.500 0.000
48 Na 0.754 0.000 0.000
49 Na 0.755 0.237 0.558
50 Na 0.755 0.763 0.442
51 Na 0.763 0.442 0.755
52 Na 0.763 0.558 0.245
53 Na 0.804 0.196 0.804
54 Na 0.804 0.804 0.196
55 Na 0.942 0.263 0.255
56 Na 0.942 0.737 0.745
57 Mn 0.000 0.000 0.000
58 Mn 0.000 0.500 0.250
59 Mn 0.000 0.500 0.750
60 Mn 0.250 0.000 0.500
61 Mn 0.500 0.250 0.000
62 Mn 0.500 0.500 0.500
63 Mn 0.500 0.750 0.000
64 Mn 0.750 0.000 0.500
65 N 0.063 0.396 0.337
66 N 0.063 0.604 0.663
67 N 0.085 0.085 0.085
68 N 0.085 0.915 0.915
69 N 0.104 0.437 0.837
70 N 0.104 0.563 0.163
71 N 0.163 0.104 0.563
72 N 0.163 0.896 0.437
73 N 0.337 0.063 0.396
74 N 0.337 0.937 0.604
75 N 0.396 0.337 0.063
76 N 0.396 0.663 0.937
77 N 0.415 0.415 0.585
78 N 0.415 0.585 0.415
79 N 0.437 0.163 0.896
80 N 0.437 0.837 0.104
81 N 0.563 0.163 0.104
82 N 0.563 0.837 0.896
83 N 0.585 0.415 0.415
84 N 0.585 0.585 0.585
85 N 0.604 0.337 0.937
86 N 0.604 0.663 0.063
87 N 0.663 0.063 0.604
88 N 0.663 0.937 0.396
89 N 0.837 0.104 0.437
90 N 0.837 0.896 0.563
91 N 0.896 0.437 0.163
92 N 0.896 0.563 0.837
93 N 0.915 0.085 0.915
94 N 0.915 0.915 0.085
95 N 0.937 0.396 0.663
96 N 0.937 0.604 0.337

Summary:
For the magnetic moment, the calculation gives 0.01 μB/f.u. The value obtained for the formation energy is -0.05 eV per atom.